Entry 1:
VASP calculation (PBE) on an optimized crystal structure of Te3Pd13.

```
Te3Pd13
1.0
-7.9331 -4.4160 0.8559
-2.5369 -3.2855 8.1202
-6.9065 3.8681 4.5284
Pd Te
26 6
direct
0.2500 0.2500 0.2500 Pd
0.2380 0.7620 0.7620 Pd
0.2380 0.2380 0.7620 Pd
0.4880 0.4880 0.0120 Pd
0.7620 0.7620 0.2380 Pd
0.6250 0.1250 0.6250 Pd
0.3847 0.8459 0.3847 Pd
0.7620 0.2380 0.2380 Pd
0.4041 0.8653 0.8653 Pd
0.8459 0.3847 0.3847 Pd
0.3847 0.3847 0.3847 Pd
0.1250 0.6250 0.6250 Pd
0.6250 0.6250 0.1250 Pd
0.2380 0.7620 0.2380 Pd
0.6250 0.6250 0.6250 Pd
0.4880 0.0120 0.0120 Pd
0.8653 0.4041 0.8653 Pd
0.7620 0.2380 0.7620 Pd
0.8653 0.8653 0.4041 Pd
0.0120 0.4880 0.4880 Pd
0.4880 0.0120 0.4880 Pd
0.0120 0.0120 0.4880 Pd
0.0120 0.4880 0.0120 Pd
0.3847 0.3847 0.8459 Pd
0.8653 0.8653 0.8653 Pd
0.0000 0.0000 0.0000 Pd
0.7500 0.7500 0.7500 Te
0.1250 0.1250 0.1250 Te
0.5000 0.5000 0.5000 Te
0.1250 0.1250 0.6250 Te
0.6250 0.1250 0.1250 Te
0.1250 0.6250 0.1250 Te
```

For the calculated volume, the calculation gives 16.8 Å³/atom. As for the formation energy from the elements: -0.224 eV per atom.

Entry 2:
VASP calculation (PBE) on an optimized crystal structure of LuS2.

```
LuS2
1.0
-1.9686 1.9538 -2.5898
-1.2792 -3.2514 -1.4806
-6.1371 0.2160 4.8281
S Lu
4 2
direct
0.5000 0.5000 0.0000 S
0.5000 0.0000 0.6310 S
0.0000 0.5000 0.3690 S
0.0000 0.0000 0.0000 S
0.0000 0.5000 0.7267 Lu
0.5000 0.0000 0.2733 Lu
```

For the calculated volume, the calculation gives 18.7 Å³/atom. As for the formation energy from the elements: -1.936 eV per atom.

Entry 3:
VASP calculation (PBE) on an optimized crystal structure of La2MgAl.

```
La2MgAl
1.0
3.8642 0.0000 0.0000
0.0000 3.8642 0.0000
0.0000 0.0000 7.8600
La Al Mg
2 1 1
direct
0.5000 0.5000 0.7660 La
0.5000 0.5000 0.2340 La
0.0000 0.0000 0.0000 Al
0.0000 0.0000 0.5000 Mg
```

For the calculated volume, the calculation gives 29.3 Å³/atom. As for the formation energy from the elements: -0.240 eV per atom. For the total magnetization, the calculation gives 0.23 μB/cell.

Entry 4:
VASP calculation (PBE) on an optimized crystal structure of TiSi2.

```
TiSi2
1.0
0.0000 4.1302 4.2836
2.4043 0.0000 4.2836
2.4043 4.1302 0.0000
Si Ti
4 2
direct
0.3367 0.6633 0.3367 Si
0.9133 0.5867 0.9133 Si
0.6633 0.3367 0.6633 Si
0.5867 0.9133 0.5867 Si
0.2500 0.2500 0.2500 Ti
0.0000 0.0000 0.0000 Ti
```

For the calculated volume, the calculation gives 14.2 Å³/atom. As for the formation energy from the elements: -0.507 eV per atom.

Entry 5:
VASP calculation (PBE) on an optimized crystal structure of MgO.

```
MgO
1.0
-0.2786 2.9275 -0.6409
2.3741 1.5530 -1.0054
0.0883 0.9292 -2.8614
Mg O
1 1
direct
0.0000 0.0000 0.0000 Mg
0.5000 0.5000 0.5000 O
```

For the calculated volume, the calculation gives 9.6 Å³/atom. As for the formation energy from the elements: -3.053 eV per atom.

Entry 6:
VASP calculation (PBE) on an optimized crystal structure of HgSbOF8.

```
HgSbOF8
1.0
6.3964 0.0795 0.1668
2.1209 6.6683 0.5128
-0.7945 -0.2507 9.7051
F Hg O Sb
16 2 2 2
direct
0.0134 0.6222 0.3526 F
0.3823 0.7818 0.2868 F
0.7090 0.4222 0.3668 F
0.6177 0.2182 0.7132 F
0.6992 0.9607 0.2622 F
0.9866 0.3778 0.6474 F
0.2910 0.5778 0.6332 F
0.0647 0.7773 0.9587 F
0.6665 0.7705 0.5047 F
0.3008 0.0393 0.7378 F
0.9353 0.2227 0.0413 F
0.3335 0.2295 0.4953 F
0.2198 0.3072 0.1446 F
0.7298 0.6184 0.1301 F
0.2702 0.3816 0.8699 F
0.7802 0.6928 0.8554 F
0.9619 0.9365 0.6215 Hg
0.0381 0.0635 0.3785 Hg
0.8632 0.8574 0.8745 O
0.1368 0.1426 0.1255 O
0.7008 0.6919 0.3158 Sb
0.2992 0.3081 0.6842 Sb
```

For the calculated volume, the calculation gives 18.8 Å³/atom. As for the formation energy from the elements: -1.846 eV per atom. For the total magnetization, the calculation gives 0.00 μB/cell.

Entry 7:
VASP calculation (PBE) on an optimized crystal structure of K2CoSe2.

```
K2CoSe2
1.0
-3.1174 3.5187 6.6376
3.1174 -3.5187 6.6376
3.1174 3.5187 -6.6376
Se K Co
4 4 2
direct
0.9172 0.6015 0.3157 Se
0.2858 0.1015 0.1843 Se
0.7142 0.8985 0.8157 Se
0.0828 0.3985 0.6843 Se
0.1832 0.8558 0.3274 K
0.5285 0.3558 0.1726 K
0.4715 0.6442 0.8274 K
0.8168 0.1442 0.6726 K
0.0000 0.2500 0.2500 Co
0.0000 0.7500 0.7500 Co
```

For the calculated volume, the calculation gives 29.1 Å³/atom. As for the formation energy from the elements: -0.920 eV per atom. For the total magnetization, the calculation gives 6.00 μB/cell.

Entry 8:
VASP calculation (PBE) on an optimized crystal structure of Ca3W2N4.

```
Ca3W2N4
1.0
-5.4664 -4.1267 1.4879
5.1442 -0.3319 -6.8862
3.4070 -3.5512 2.7163
Ca N W
6 8 4
direct
0.0000 0.6064 0.7500 Ca
0.2280 0.2423 0.5285 Ca
0.2280 0.9857 0.0285 Ca
0.7720 0.7577 0.4715 Ca
0.0000 0.3936 0.2500 Ca
0.7720 0.0143 0.9715 Ca
0.7555 0.7133 0.0012 N
0.3184 0.7348 0.0693 N
0.6816 0.2652 0.9307 N
0.2445 0.2867 0.9988 N
0.3184 0.5836 0.5693 N
0.2445 0.9578 0.4988 N
0.6816 0.4164 0.4307 N
0.7555 0.0422 0.5012 N
0.3953 0.5705 0.8999 W
0.3953 0.8248 0.3999 W
0.6047 0.1752 0.6001 W
0.6047 0.4295 0.1001 W
```

For the calculated volume, the calculation gives 14.9 Å³/atom. As for the formation energy from the elements: -0.652 eV per atom. The excess energy over the best structure of this formula in the dataset is 111.5 meV per atom. For the total magnetization, the calculation gives 0.00 μB/cell.

Entry 9:
VASP calculation (PBE) on an optimized crystal structure of Ca3Sc3N5.

```
Ca3Sc3N5
1.0
-4.5873 4.1414 0.4012
-4.2080 -5.9562 -1.1406
3.5621 -1.0142 7.9736
Sc Ca N
6 6 10
direct
0.7298 0.9543 0.5676 Sc
0.2702 0.0457 0.4324 Sc
0.8308 0.1371 0.2776 Sc
0.1166 0.6960 0.0404 Sc
0.8834 0.3040 0.9596 Sc
0.1692 0.8629 0.7224 Sc
0.7970 0.4350 0.5892 Ca
0.3447 0.3946 0.8020 Ca
0.6858 0.8425 0.8884 Ca
0.2030 0.5650 0.4108 Ca
0.6553 0.6054 0.1980 Ca
0.3142 0.1575 0.1116 Ca
0.7751 0.5210 0.8645 N
0.8656 0.7058 0.4989 N
0.4196 0.8989 0.6101 N
0.0015 0.9231 0.1849 N
0.3189 0.7354 0.9003 N
0.6811 0.2646 0.0997 N
0.1344 0.2942 0.5011 N
0.2249 0.4790 0.1355 N
0.9985 0.0769 0.8151 N
0.5804 0.1011 0.3899 N
```

For the calculated volume, the calculation gives 16.2 Å³/atom. As for the formation energy from the elements: -1.420 eV per atom. For the total magnetization, the calculation gives 0.00 μB/cell.

Entry 10:
VASP calculation (PBE) on an optimized crystal structure of Sc3B5O12.

```
Sc3B5O12
1.0
-1.7113 2.7667 -3.0581
-2.7465 -9.6220 -7.1680
-11.2274 -0.8815 5.4851
B O Sc
20 48 12
direct
0.4604 0.1309 0.0000 B
0.5000 0.0000 0.1624 B
0.5417 0.3501 0.7978 B
0.5417 0.1499 0.7022 B
0.4604 0.3691 0.5000 B
0.5000 0.0000 0.8376 B
0.5396 0.8691 0.0000 B
0.5000 0.5000 0.3376 B
0.4678 0.1455 0.5000 B
0.5396 0.6309 0.5000 B
0.4582 0.6499 0.2022 B
0.4582 0.8501 0.2978 B
0.5417 0.3501 0.2022 B
0.5000 0.5000 0.6624 B
0.4582 0.8501 0.7022 B
0.4582 0.6499 0.7978 B
0.5322 0.6455 0.0000 B
0.5417 0.1499 0.2978 B
0.5322 0.8545 0.5000 B
0.4678 0.3545 0.0000 B
0.7794 0.8470 0.2965 O
0.2968 0.9373 0.7669 O
0.3215 0.7500 0.7500 O
0.7794 0.8470 0.7035 O
0.6662 0.5780 0.5966 O
0.2968 0.9373 0.2331 O
0.2206 0.3470 0.7965 O
0.3338 0.0780 0.9034 O
0.2258 0.8552 0.0000 O
0.3215 0.7500 0.2500 O
0.7032 0.0627 0.7669 O
0.6715 0.1422 0.4056 O
0.2206 0.1530 0.7035 O
0.2993 0.2428 0.0000 O
0.7007 0.7572 0.0000 O
0.2206 0.1530 0.2965 O
0.7007 0.7428 0.5000 O
0.2393 0.4363 0.0000 O
0.3338 0.0780 0.0966 O
0.2206 0.3470 0.2035 O
0.3285 0.8578 0.5944 O
0.7607 0.9363 0.5000 O
0.7607 0.5637 0.0000 O
0.7032 0.4373 0.7331 O
0.6715 0.3578 0.0944 O
0.2393 0.0637 0.5000 O
0.7032 0.0627 0.2331 O
0.7742 0.1448 0.0000 O
0.7032 0.4373 0.2669 O
0.6715 0.3578 0.9056 O
0.2993 0.2572 0.5000 O
0.6715 0.1422 0.5944 O
0.3285 0.6422 0.0944 O
0.6662 0.5780 0.4034 O
0.3285 0.8578 0.4056 O
0.3285 0.6422 0.9056 O
0.2968 0.5627 0.7331 O
0.6662 0.9220 0.9034 O
0.6785 0.2500 0.2500 O
0.6785 0.2500 0.7500 O
0.2968 0.5627 0.2669 O
0.7794 0.6530 0.2035 O
0.3338 0.4220 0.4034 O
0.7742 0.3552 0.5000 O
0.7794 0.6530 0.7965 O
0.2258 0.6448 0.5000 O
0.6662 0.9220 0.0966 O
0.3338 0.4220 0.5966 O
0.9877 0.8047 0.8643 Sc
0.0123 0.1953 0.1357 Sc
0.0000 0.0000 0.3705 Sc
0.9877 0.6953 0.6357 Sc
0.9877 0.8047 0.1357 Sc
0.0000 0.5000 0.1295 Sc
0.0123 0.3047 0.3643 Sc
0.0123 0.1953 0.8643 Sc
0.9877 0.6953 0.3643 Sc
0.0123 0.3047 0.6357 Sc
0.0000 0.5000 0.8705 Sc
0.0000 0.0000 0.6295 Sc
```

For the calculated volume, the calculation gives 8.6 Å³/atom. As for the formation energy from the elements: -3.280 eV per atom.

Entry 11:
VASP calculation (PBE) on an optimized crystal structure of K2TiCu2S4.

```
K2TiCu2S4
1.0
5.5463 0.0000 0.0000
0.0000 5.5463 0.0000
0.0000 0.0000 12.9546
K Ti Cu S
4 2 4 8
direct
0.2597 0.2597 0.0000 K
0.7403 0.2597 0.5000 K
0.2597 0.7403 0.5000 K
0.7403 0.7403 0.0000 K
0.0000 0.0000 0.7500 Ti
0.0000 0.0000 0.2500 Ti
0.0000 0.5000 0.7500 Cu
0.5000 0.0000 0.2500 Cu
0.5000 0.0000 0.7500 Cu
0.0000 0.5000 0.2500 Cu
0.7604 0.7604 0.6504 S
0.2396 0.7604 0.1504 S
0.2396 0.2396 0.3496 S
0.2396 0.2396 0.6504 S
0.7604 0.7604 0.3496 S
0.7604 0.2396 0.1504 S
0.7604 0.2396 0.8496 S
0.2396 0.7604 0.8496 S
```

For the calculated volume, the calculation gives 22.1 Å³/atom. As for the formation energy from the elements: -1.278 eV per atom. For the total magnetization, the calculation gives 0.00 μB/cell.

Entry 12:
VASP calculation (PBE) on an optimized crystal structure of YRhO3.

```
YRhO3
1.0
-0.4005 5.2504 -0.6020
-5.6850 -0.5528 -1.0396
-1.4450 0.7500 7.5029
Rh O Y
4 12 4
direct
0.5000 0.5000 0.5000 Rh
0.5000 0.5000 0.0000 Rh
0.0000 0.0000 0.0000 Rh
0.0000 0.0000 0.5000 Rh
0.3212 0.1913 0.0638 O
0.6788 0.8087 0.5638 O
0.8652 0.0532 0.2500 O
0.1788 0.6913 0.4362 O
0.3652 0.4468 0.7500 O
0.6788 0.8087 0.9362 O
0.8212 0.3087 0.9362 O
0.3212 0.1913 0.4362 O
0.1348 0.9468 0.7500 O
0.6348 0.5532 0.2500 O
0.1788 0.6913 0.0638 O
0.8212 0.3087 0.5638 O
0.9697 0.5834 0.7500 Y
0.0303 0.4166 0.2500 Y
0.4697 0.9166 0.2500 Y
0.5303 0.0834 0.7500 Y
```

For the calculated volume, the calculation gives 11.8 Å³/atom. As for the formation energy from the elements: -2.556 eV per atom.

Entry 13:
VASP calculation (PBE) on an optimized crystal structure of CeP3H8O7.

```
CeP3H8O7
1.0
-4.7354 1.4689 5.2741
-4.5269 -2.3485 -6.2677
3.9826 -7.1118 3.9193
P O H Ce
6 14 16 2
direct
0.1479 0.8140 0.7336 P
0.0317 0.7816 0.1894 P
0.5303 0.6890 0.4140 P
0.4697 0.3110 0.5860 P
0.8521 0.1860 0.2664 P
0.9683 0.2184 0.8106 P
0.4987 0.7322 0.5852 O
0.0352 0.1599 0.2097 O
0.7841 0.1322 0.8581 O
0.3451 0.9326 0.8597 O
0.3778 0.6350 0.9513 O
0.1715 0.2681 0.9194 O
0.6163 0.4832 0.7266 O
0.6222 0.3650 0.0487 O
0.3837 0.5168 0.2734 O
0.5013 0.2678 0.4148 O
0.2159 0.8678 0.1419 O
0.9648 0.8401 0.7903 O
0.8285 0.7319 0.0806 O
0.6549 0.0674 0.1403 O
0.8495 0.1463 0.4070 H
0.6803 0.2836 0.9708 H
0.6681 0.4909 0.0484 H
0.1325 0.6223 0.6766 H
0.9598 0.0989 0.6488 H
0.5361 0.8468 0.3772 H
0.1505 0.8537 0.5930 H
0.4639 0.1532 0.6228 H
0.7241 0.6788 0.4166 H
0.0485 0.6170 0.2048 H
0.3319 0.5091 0.9516 H
0.2759 0.3212 0.5834 H
0.0402 0.9011 0.3512 H
0.9515 0.3830 0.7952 H
0.8675 0.3777 0.3234 H
0.3197 0.7164 0.0292 H
0.6536 0.8122 0.8677 Ce
0.3464 0.1878 0.1323 Ce
```

For the calculated volume, the calculation gives 12.2 Å³/atom. As for the formation energy from the elements: -1.627 eV per atom. For the total magnetization, the calculation gives 2.00 μB/cell.